Entry from Materials Project: a relaxed structure of KMg14SbO16 (PBE).

a b c (Å): 8.7368 8.7368 4.4581
angles (deg): 90.00 90.00 90.00
Fractional positions:
O 0.2745 0.0000 0.0000
Mg 0.0000 0.7510 0.5000
Mg 0.5000 0.2360 0.5000
O 0.2523 0.2523 0.5000
Mg 0.2490 0.0000 0.5000
Mg 0.5000 0.7640 0.5000
O 0.5000 0.5000 0.5000
Mg 0.5000 0.0000 0.0000
O 0.5000 0.7582 0.0000
O 0.0000 0.2745 0.0000
O 0.7477 0.7477 0.5000
Mg 0.7640 0.5000 0.5000
O 0.7582 0.5000 0.0000
Sb 0.5000 0.5000 0.0000
Mg 0.2426 0.2426 0.0000
O 0.0000 0.7255 0.0000
O 0.7255 0.0000 0.0000
O 0.2523 0.7477 0.5000
O 0.5000 0.2418 0.0000
Mg 0.2360 0.5000 0.5000
O 0.2418 0.5000 0.0000
Mg 0.7574 0.7574 0.0000
O 0.0000 0.0000 0.5000
Mg 0.0000 0.5000 0.0000
Mg 0.0000 0.2490 0.5000
O 0.0000 0.5000 0.5000
Mg 0.7510 0.0000 0.5000
Mg 0.7574 0.2426 0.0000
Mg 0.2426 0.7574 0.0000
O 0.5000 0.0000 0.5000
K 0.0000 0.0000 0.0000
O 0.7477 0.2523 0.5000

Properties
excess energy over the best structure of this formula in the dataset	0.000	eV/atom
energy of formation	-2708	meV/atom
space group	P4/mmm
raw total energy	-5.70	eV/atom